Record 1
Computed, not measured: a relaxed structure of LiEuW2O8 at the PBE with a Hubbard U level of DFT.

```
LiEuW2O8
1.0
5.3208 0.0000 0.0000
0.0000 5.3208 0.0000
2.6604 2.6604 5.6542
O W Li Eu
8 2 1 1
Cartesian
6.6095 3.1431 5.2289
6.1683 5.2793 3.2524
1.3818 4.8235 0.4039
3.4933 5.2692 2.4232
3.9390 3.1577 0.4039
4.0321 4.8381 5.2289
4.4733 2.7019 3.2524
1.8275 2.7120 2.4232
5.3208 3.9906 4.2407
2.6604 3.9906 1.4136
5.3208 1.3302 1.4136
2.6604 6.6510 4.2407
```

energy = -0.565 Ry/atom
energy above the lowest structure with this stoichiometry = 65 meV/atom
SG = I-4
calculated formation energy = -2.41 eV/atom

Record 2
Computed, not measured: a relaxed structure of LiEuW2O8 at the PBE with a Hubbard U level of DFT.

```
LiEuW2O8
1.0
-5.3240 2.4299 -0.9575
-0.2549 -2.3596 -4.5707
-4.6880 -10.0303 0.6126
O Eu W Li
16 2 4 2
Cartesian
-4.9106 -5.8720 -1.2368
-2.4554 -5.2224 -2.7927
-6.7044 -2.2277 -1.2622
-7.4865 -7.6963 -1.1084
-7.8115 -4.7376 -2.1228
-3.9361 -0.2318 -1.7894
-5.3563 -4.0880 -3.6788
-6.3308 -9.7282 -3.1262
-3.5625 -7.7323 -3.6534
-9.1978 -8.2301 -3.2775
-5.4294 -0.7953 -4.7170
-4.8375 -9.1646 -0.1985
-2.7804 -2.2637 -3.8072
-3.7390 -3.3217 -1.1623
-1.0691 -1.7299 -1.6381
-6.5279 -6.6383 -3.7533
-4.9793 -2.0079 -2.7940
-5.2876 -7.9521 -2.1216
-9.1019 -8.4939 -1.3934
-1.1650 -1.4661 -3.5221
-7.0125 -4.8822 -3.8459
-3.2544 -5.0778 -1.0696
-2.8104 -1.7598 -0.1415
-7.2016 -5.8406 -0.2034
```

energy = -0.569 Ry/atom
energy above the lowest structure with this stoichiometry = 0 meV/atom
SG = P2/c
calculated formation energy = -2.47 eV/atom

Record 3
Computed, not measured: a relaxed structure of EuMgNiO3 at the PBE with a Hubbard U level of DFT.

```
EuMgNiO3
1.0
-0.9260 -0.7564 -3.6068
-1.8263 -3.1451 1.1284
-6.0090 3.7599 0.7543
O Mg Eu Ni
3 1 1 1
Cartesian
-0.4630 -0.3782 -1.8034
-3.0045 1.8800 0.3771
-0.9131 -1.5725 0.5642
-1.3761 -1.9507 -1.2392
-4.3806 -0.0708 -0.8620
0.0000 0.0000 0.0000
```

energy = -0.475 Ry/atom
SG = P4/mmm
calculated formation energy = -1.81 eV/atom

Record 4
Computed, not measured: a relaxed structure of SrEuMgWO6 at the PBE with a Hubbard U level of DFT.

```
SrEuMgWO6
1.0
0.0000 -4.0080 -4.0080
4.0080 0.0000 -4.0080
4.0080 -4.0080 0.0000
O Mg Sr Eu W
6 1 1 1 1
Cartesian
4.0080 -4.0080 -2.0555
4.0080 -2.0555 -4.0080
4.0080 -5.9605 -4.0080
2.0555 -4.0080 -4.0080
5.9605 -4.0080 -4.0080
4.0080 -4.0080 -5.9605
0.0000 0.0000 0.0000
6.0119 -6.0119 -6.0119
2.0040 -2.0040 -2.0040
4.0080 -4.0080 -4.0080
```

energy = -0.568 Ry/atom
SG = F-43m
calculated formation energy = -2.96 eV/atom

Number 1: total magnetic moment 0.500 μB per atom. Number 2: total magnetic moment 0.500 μB per atom. Number 3: total magnetic moment 1.154 μB per atom. Number 4: total magnetic moment 0.700 μB per atom.